# 1
## LiCrSi2O6 (PBE+U)

Data for a geometry-optimized LiCrSi2O6 structure.

Unit cell a=6.5428 b=6.5419 c=10.7108 alpha=74.76 beta=74.81 gamma=83.69
Element x y z (fractional)
Li 0.2591 0.7409 0.3750
Li 0.2591 0.7409 0.8750
Li 0.7409 0.2591 0.1250
Li 0.7409 0.2591 0.6250
Cr 0.9070 0.0930 0.8752
Cr 0.0930 0.9070 0.6248
Cr 0.9069 0.0931 0.3752
Cr 0.0931 0.9069 0.1248
Si 0.7928 0.6110 0.3830
Si 0.7928 0.6110 0.8830
Si 0.2072 0.3890 0.1170
Si 0.2072 0.3890 0.6170
Si 0.6107 0.7927 0.1330
Si 0.6107 0.7927 0.6331
Si 0.3893 0.2073 0.3670
Si 0.3893 0.2073 0.8670
O 0.3535 0.3579 0.4723
O 0.3535 0.3579 0.9723
O 0.3579 0.3535 0.2222
O 0.3579 0.3535 0.7222
O 0.6465 0.6421 0.0277
O 0.6465 0.6421 0.5277
O 0.6421 0.6465 0.2778
O 0.6421 0.6465 0.7778
O 0.7986 0.9695 0.0747
O 0.7986 0.9695 0.5747
O 0.2014 0.0305 0.4253
O 0.2014 0.0305 0.9253
O 0.9695 0.7990 0.3245
O 0.9695 0.7990 0.8245
O 0.0305 0.2010 0.1755
O 0.0305 0.2010 0.6755
O 0.1099 0.6286 0.0854
O 0.1099 0.6286 0.5854
O 0.8901 0.3714 0.4146
O 0.8901 0.3714 0.9146
O 0.6287 0.1100 0.3354
O 0.6288 0.1100 0.8354
O 0.3713 0.8900 0.1646
O 0.3712 0.8900 0.6646

Properties
The calculation puts the polymorph energy (0 for the lowest one) at 0 meV per atom. The calculation puts the density at 3.29 g/cm³.


# 2
## PbWO4 (PBE+U)

Data for a geometry-optimized PbWO4 structure.

Unit cell a=5.8275 b=7.8738 c=7.9807 alpha=74.70 beta=90.00 gamma=90.00
Element x y z (fractional)
Pb 0.2598 0.3601 0.4186
Pb 0.2402 0.3601 0.9186
Pb 0.7598 0.6399 0.0814
Pb 0.7402 0.6399 0.5814
W 0.7489 0.1729 0.7266
W 0.7511 0.1729 0.2266
W 0.2489 0.8271 0.7734
W 0.2511 0.8271 0.2734
O 0.2300 0.8348 0.0385
O 0.9772 0.3484 0.6553
O 0.5304 0.3631 0.6674
O 0.5228 0.3484 0.1553
O 0.2700 0.8348 0.5385
O 0.4781 0.0133 0.7567
O 0.0304 0.6369 0.8326
O 0.7700 0.1652 0.9615
O 0.7300 0.1652 0.4615
O 0.9781 0.9867 0.7433
O 0.5219 0.9867 0.2433
O 0.4772 0.6516 0.8447
O 0.9696 0.3631 0.1674
O 0.0219 0.0133 0.2567
O 0.0228 0.6516 0.3447
O 0.4696 0.6369 0.3326

Properties
The calculation puts the polymorph energy (0 for the lowest one) at 38 meV per atom. As for the space-group type: P2_1/c. The calculation puts the density at 8.56 g/cm³.


# 3
## Li2Ti3MnO8 (PBE+U)

Data for a geometry-optimized Li2Ti3MnO8 structure.

Unit cell a=6.0348 b=17.0456 c=6.0148 alpha=90.00 beta=90.00 gamma=89.69
Element x y z (fractional)
Li 0.2376 0.5595 0.0000
Li 0.7376 0.8095 0.5000
Li 0.2376 0.0595 0.0000
Li 0.7376 0.3095 0.5000
Li 0.0021 0.7506 0.0000
Li 0.5021 0.0006 0.5000
Li 0.0021 0.2506 0.0000
Li 0.5021 0.5006 0.5000
Ti 0.5051 0.7494 0.0000
Ti 0.0051 0.9994 0.5000
Ti 0.5051 0.2494 0.0000
Ti 0.0051 0.4994 0.5000
Ti 0.7512 0.6263 0.2462
Ti 0.2513 0.8763 0.7462
Ti 0.7513 0.1263 0.2462
Ti 0.2512 0.3763 0.7462
Ti 0.7512 0.6263 0.7538
Ti 0.2513 0.8763 0.2538
Ti 0.7513 0.1263 0.7538
Ti 0.2512 0.3763 0.2538
Mn 0.7635 0.9410 0.0000
Mn 0.2632 0.1911 0.5000
Mn 0.7631 0.4409 0.0000
Mn 0.2633 0.6909 0.5001
O 0.5206 0.6299 0.0000
O 0.0206 0.8799 0.5000
O 0.5206 0.1299 0.0000
O 0.0206 0.3799 0.5000
O 0.4806 0.8705 0.0000
O 0.9806 0.1205 0.5000
O 0.4805 0.3705 0.0000
O 0.9805 0.6205 0.5000
O 0.7287 0.7390 0.2290
O 0.2287 0.9890 0.7290
O 0.7287 0.2391 0.2290
O 0.2287 0.4890 0.7290
O 0.7287 0.7390 0.7710
O 0.2287 0.9891 0.2710
O 0.7287 0.2391 0.7710
O 0.2287 0.4890 0.2710
O 0.9573 0.6251 0.0000
O 0.4573 0.8751 0.5000
O 0.9573 0.1251 0.0000
O 0.4573 0.3751 0.5000
O 0.0409 0.8726 0.0000
O 0.5409 0.1226 0.5000
O 0.0409 0.3726 0.0000
O 0.5409 0.6226 0.4999
O 0.2663 0.7603 0.2247
O 0.7663 0.0103 0.7247
O 0.2663 0.2604 0.2246
O 0.7663 0.5103 0.7247
O 0.2663 0.7603 0.7753
O 0.7663 0.0103 0.2753
O 0.2663 0.2604 0.7754
O 0.7663 0.5103 0.2753

Properties
The calculation puts the polymorph energy (0 for the lowest one) at 35 meV per atom. The calculation puts the density at 3.65 g/cm³.


# 4
## Sr2MgZnWO6 (PBE+U)

Data for a geometry-optimized Sr2MgZnWO6 structure.

Unit cell a=6.4326 b=6.4326 c=5.8190 alpha=63.11 beta=63.11 gamma=51.87
Element x y z (fractional)
Sr 0.3228 0.3228 0.1772
Sr 0.6772 0.6772 0.8228
Mg 0.0000 0.0000 0.5000
Zn 0.5000 0.5000 0.5000
W 0.0000 0.0000 0.0000
O 0.2530 0.7470 0.7400
O 0.2530 0.7470 0.2600
O 0.7470 0.2530 0.7400
O 0.2078 0.2078 0.7922
O 0.7470 0.2530 0.2600
O 0.7922 0.7922 0.2078

Properties
The calculation puts the polymorph energy (0 for the lowest one) at 231 meV per atom. As for the space-group type: Immm. The calculation puts the density at 5.53 g/cm³.


# 5
## Li9Mn2Co5O16 (PBE+U)

Data for a geometry-optimized Li9Mn2Co5O16 structure.

Unit cell a=5.8124 b=5.9248 c=10.0409 alpha=87.63 beta=106.80 gamma=119.12
Element x y z (fractional)
Li 0.4953 0.5005 0.9961
Li 0.5107 0.2556 0.2564
Li 0.5012 0.9988 0.5036
Li 0.4883 0.9866 0.9912
Li 0.5299 0.7805 0.2670
Li 0.5157 0.5188 0.5101
Li 0.4707 0.2182 0.7323
Li 0.4866 0.7386 0.7433
Li 0.0009 0.9996 0.5013
Mn 0.0031 0.0047 0.9996
Mn 0.0080 0.7576 0.2526
Co 0.9984 0.4975 0.5019
Co 0.9890 0.2388 0.7403
Co 0.0012 0.5033 0.0001
Co 0.0046 0.2510 0.2536
Co 0.9947 0.7491 0.7473
O 0.2428 0.1345 0.8856
O 0.2337 0.8820 0.1241
O 0.2468 0.6435 0.3714
O 0.2088 0.6089 0.8714
O 0.2045 0.3430 0.1146
O 0.2129 0.0972 0.3550
O 0.2165 0.8438 0.6298
O 0.2325 0.3751 0.6276
O 0.7665 0.8642 0.1208
O 0.7711 0.6220 0.3680
O 0.7433 0.3598 0.6232
O 0.8027 0.4129 0.1353
O 0.7829 0.1504 0.3688
O 0.7720 0.8766 0.6386
O 0.7974 0.6636 0.8881
O 0.7676 0.1234 0.8813

Properties
The calculation puts the polymorph energy (0 for the lowest one) at 37 meV per atom. As for the space-group type: P1. The calculation puts the density at 4.18 g/cm³.


# 6
## KFeP2O7 (PBE+U)

Data for a geometry-optimized KFeP2O7 structure.

Unit cell a=10.1536 b=7.4892 c=8.3282 alpha=73.33 beta=90.00 gamma=90.00
Element x y z (fractional)
K 0.6792 0.1780 0.9462
K 0.1792 0.8220 0.5538
K 0.3208 0.8220 0.0538
K 0.8208 0.1780 0.4462
Fe 0.4007 0.2363 0.2390
Fe 0.9007 0.7637 0.2610
Fe 0.5993 0.7637 0.7610
Fe 0.0993 0.2363 0.7390
P 0.3637 0.4396 0.8084
P 0.8637 0.5604 0.6916
P 0.6363 0.5604 0.1916
P 0.1363 0.4396 0.3084
P 0.0965 0.1328 0.1693
P 0.5965 0.8672 0.3307
P 0.9035 0.8672 0.8307
P 0.4035 0.1328 0.6693
O 0.4408 0.3382 0.6859
O 0.9408 0.6618 0.8141
O 0.5592 0.6618 0.3141
O 0.0592 0.3382 0.1859
O 0.2655 0.0811 0.7447
O 0.7655 0.9189 0.7553
O 0.7345 0.9189 0.2553
O 0.2345 0.0811 0.2447
O 0.4208 0.6366 0.7665
O 0.9208 0.3634 0.7335
O 0.5792 0.3634 0.2335
O 0.0792 0.6366 0.2665
O 0.4100 0.1453 0.4855
O 0.9100 0.8547 0.0145
O 0.5900 0.8547 0.5145
O 0.0900 0.1453 0.9855
O 0.3941 0.3205 0.9861
O 0.8941 0.6795 0.5139
O 0.6059 0.6795 0.0139
O 0.1059 0.3205 0.4861
O 0.5051 0.9996 0.7773
O 0.0051 0.0004 0.7227
O 0.4949 0.0004 0.2227
O 0.9949 0.9996 0.2773
O 0.2176 0.4507 0.7573
O 0.7176 0.5493 0.7427
O 0.7824 0.5493 0.2427
O 0.2824 0.4507 0.2573

Properties
As for the total energy: -6.899 eV/atom. As for the space-group type: P2_1/c. The calculation puts the density at 2.94 g/cm³.